# 1
DFT (PBE+U) results for an optimized crystal structure of NaSrDyMnO6.

The total energy is -6.460 eV/atom. The density is 5.107 g cm⁻³.

The structure belongs to space group F-43m (No. 216); the cell edges are 8.2007, 8.2007 and 8.2007 Å and the angles 90.00°, 90.00° and 90.00°. The inequivalent atoms are Na at (0.0000, 0.0000, 0.0000), Sr at (0.0000, 0.0000, 0.5000), Dy at (0.2500, 0.2500, 0.2500), Mn at (0.2500, 0.2500, 0.7500) and O at (0.0186, 0.2500, 0.7500).



# 2
DFT (PBE+U) results for an optimized crystal structure of SrNdDyMnO6.

The total energy is -7.449 eV/atom. The density is 6.740 g cm⁻³.

The structure belongs to space group F-43m (No. 216); the cell edges are 8.1299, 8.1299 and 8.1299 Å and the angles 90.00°, 90.00° and 90.00°. The inequivalent atoms are Sr at (0.0000, 0.0000, 0.0000), Nd at (0.0000, 0.0000, 0.5000), Dy at (0.2500, 0.2500, 0.2500), Mn at (0.2500, 0.2500, 0.7500) and O at (0.0164, 0.2500, 0.7500).



# 3
DFT (PBE+U) results for an optimized crystal structure of DyMn2O4.

The total energy is -7.833 eV/atom. The density is 6.036 g cm⁻³.

The structure belongs to space group Fd-3m (No. 227, origin choice 2); the cell edges are 9.0465, 9.0465 and 9.0465 Å and the angles 90.00°, 90.00° and 90.00°. The inequivalent atoms are Dy at (0.1250, 0.1250, 0.1250), Mn at (0.0000, 0.0000, 0.5000) and O at (0.0129, 0.0129, 0.7371).



# 4
DFT (PBE+U) results for an optimized crystal structure of DyMn2O4.

The total energy is -7.950 eV/atom. The density is 5.938 g cm⁻³.

The structure belongs to space group R-3m (No. 166, hexagonal axes); the cell edges are 3.6019, 3.6019 and 25.1175 Å and the angles 90.00°, 90.00° and 120.00°. The inequivalent atoms are Dy at (0.0000, 0.0000, 0.0000), Mn at (0.0000, 0.0000, 0.2137), O at (0.0000, 0.0000, 0.1302) and O at (0.0000, 0.0000, 0.2929).



# 5
DFT (PBE+U) results for an optimized crystal structure of DyMnO3.

The total energy is -8.037 eV/atom. The density is 6.810 g cm⁻³.

The structure belongs to space group P6_3cm (No. 185); the cell edges are 6.2279, 6.2279 and 11.5613 Å and the angles 90.00°, 90.00° and 120.00°. The inequivalent atoms are Dy at (0.0000, 0.0000, 0.0000), Dy at (0.3333, 0.6667, 0.4563), Mn at (0.0000, 0.3335, 0.2251), O at (0.0000, 0.0000, 0.2011), O at (0.0000, 0.3076, 0.3897), O at (0.0000, 0.3585, 0.0606) and O at (0.3333, 0.6667, 0.2454).



# 6
DFT (PBE+U) results for an optimized crystal structure of DyMn2O4.

The total energy is -7.861 eV/atom. The density is 5.991 g cm⁻³.

The structure belongs to space group C2/m (No. 12); the cell edges are 11.3768, 6.2271 and 6.2817 Å and the angles 90.00°, 123.07° and 90.00°. The inequivalent atoms are Dy at (0.1255, 0.0000, 0.3880), Mn at (0.0000, 0.5000, 0.0000), Mn at (0.0000, 0.5000, 0.5000), Mn at (0.2500, 0.2500, 0.0000), O at (0.0086, 0.2786, 0.7346), O at (0.2331, 0.5000, 0.2038) and O at (0.2489, 0.0000, 0.2204).



# 7
DFT (PBE+U) results for an optimized crystal structure of DyMnO3.

The total energy is -7.713 eV/atom. The density is 6.641 g cm⁻³.

The structure belongs to space group Pnma (No. 62); the cell edges are 6.0086, 12.9944 and 3.4001 Å and the angles 90.00°, 90.00° and 90.00°. The inequivalent atoms are Dy at (0.1916, 0.2500, 0.2448), Mn at (0.0000, 0.0000, 0.5000), O at (0.0495, 0.7500, 0.2550) and O at (0.2452, 0.0781, 0.2400).



# 8
DFT (PBE+U) results for an optimized crystal structure of DyMnO3.

The total energy is -8.014 eV/atom. The density is 7.517 g cm⁻³.

The structure belongs to space group Pnma (No. 62); the cell edges are 5.8679, 7.4992 and 5.3303 Å and the angles 90.00°, 90.00° and 90.00°. The inequivalent atoms are Dy at (0.0821, 0.2500, 0.0192), Mn at (0.0000, 0.0000, 0.5000), O at (0.0419, 0.7500, 0.3810) and O at (0.1748, 0.5568, 0.7988).



# 9
DFT (PBE+U) results for an optimized crystal structure of Dy2Mn2O7.

The total energy is -7.807 eV/atom. The density is 7.189 g cm⁻³.

The structure belongs to space group Fd-3m (No. 227, origin choice 2); the cell edges are 10.0352, 10.0352 and 10.0352 Å and the angles 90.00°, 90.00° and 90.00°. The inequivalent atoms are Dy at (0.0000, 0.0000, 0.0000), Mn at (0.0000, 0.0000, 0.5000), O at (0.0800, 0.3750, 0.8750) and O at (0.1250, 0.1250, 0.1250).



# 10
DFT (PBE+U) results for an optimized crystal structure of SrSmDyMnO6.

The total energy is -7.422 eV/atom. The density is 6.840 g cm⁻³.

The structure belongs to space group F-43m (No. 216); the cell edges are 8.1205, 8.1205 and 8.1205 Å and the angles 90.00°, 90.00° and 90.00°. The inequivalent atoms are Sr at (0.0000, 0.0000, 0.0000), Sm at (0.0000, 0.0000, 0.5000), Dy at (0.2500, 0.2500, 0.2500), Mn at (0.2500, 0.2500, 0.7500) and O at (0.0161, 0.2500, 0.7500).



# 11
DFT (PBE+U) results for an optimized crystal structure of SrDyMn4O12.

The total energy is -6.765 eV/atom. The density is 5.085 g cm⁻³.

The structure belongs to space group P4/mmm (No. 123); the cell edges are 5.3457, 5.3457 and 7.5636 Å and the angles 90.00°, 90.00° and 90.00°. The inequivalent atoms are Sr at (0.0000, 0.0000, 0.0000), Dy at (0.5000, 0.5000, 0.5000), Mn at (0.0000, 0.5000, 0.2487), O at (0.0000, 0.5000, 0.0000), O at (0.0000, 0.5000, 0.5000) and O at (0.2594, 0.2594, 0.2688).



# 12
DFT (PBE+U) results for an optimized crystal structure of Dy2Mo3O12.

The total energy is -7.556 eV/atom. The density is 4.484 g cm⁻³.

The structure belongs to space group P-42_1m (No. 113); the cell edges are 7.4538, 7.4538 and 10.7295 Å and the angles 90.00°, 90.00° and 90.00°. The inequivalent atoms are Dy at (0.1879, 0.3121, 0.2620), Mo at (0.0000, 0.0000, 0.0000), Mo at (0.2072, 0.2928, 0.6429), O at (0.0060, 0.7755, 0.7014), O at (0.0430, 0.1893, 0.0983), O at (0.1256, 0.6256, 0.3097) and O at (0.1952, 0.3048, 0.4774).



# 13
DFT (PBE+U) results for an optimized crystal structure of Dy2Mo2O7.

The total energy is -7.853 eV/atom. The density is 7.403 g cm⁻³.

The structure belongs to space group Fd-3m (No. 227, origin choice 2); the cell edges are 10.4114, 10.4114 and 10.4114 Å and the angles 90.00°, 90.00° and 90.00°. The inequivalent atoms are Dy at (0.0000, 0.0000, 0.0000), Mo at (0.0000, 0.0000, 0.5000), O at (0.0890, 0.3750, 0.8750) and O at (0.1250, 0.1250, 0.1250).



# 14
DFT (PBE+U) results for an optimized crystal structure of Dy2Mo3O12.

The total energy is -7.536 eV/atom. The density is 5.604 g cm⁻³.

The structure belongs to space group C2/c (No. 15); the cell edges are 7.6940, 11.5061 and 11.4245 Å and the angles 90.00°, 109.40° and 90.00°. The inequivalent atoms are Dy at (0.1662, 0.1221, 0.0912), Mo at (0.0000, 0.1313, 0.7500), Mo at (0.1463, 0.3919, 0.5509), O at (0.0498, 0.2819, 0.4412), O at (0.0636, 0.4613, 0.9233), O at (0.1329, 0.2089, 0.8923), O at (0.1336, 0.0500, 0.4621), O at (0.1652, 0.0413, 0.7174) and O at (0.2277, 0.3224, 0.7010).